Entry 1:
Here is a relaxed LiFe2OF3 crystal from the Materials Project database. Energies are from GGA+U.

Excess energy over the best structure of this formula in the dataset: 11 meV/atom

a = 6.176 Å, b = 10.853 Å, c = 6.184 Å
α = 106.54°, β = 59.96°, γ = 106.45°
Positions (direct):
O  0.576  0.727  0.575
Li  0.010  0.030  0.010
Fe  0.437  0.812  0.437
F  0.321  0.950  0.814
Li  0.510  0.530  0.510
O  0.299  0.898  0.300
F  0.315  0.451  0.315
Fe  0.938  0.312  0.437
F  0.821  0.450  0.314
F  0.560  0.174  0.560
F  0.554  0.675  0.061
Fe  0.438  0.812  0.938
Fe  0.937  0.812  0.438
O  0.076  0.227  0.075
F  0.815  0.951  0.815
F  0.054  0.175  0.561
Li  0.865  0.595  0.865
F  0.815  0.951  0.321
Fe  0.937  0.312  0.938
F  0.315  0.451  0.821
Li  0.365  0.095  0.365
Fe  0.188  0.563  0.187
Fe  0.438  0.312  0.937
F  0.060  0.674  0.060
F  0.060  0.674  0.554
F  0.560  0.174  0.054
O  0.799  0.398  0.800
Fe  0.687  0.062  0.688

=====

Entry 2:
Here is a relaxed Na2CoH12S2O14 crystal from the Materials Project database. Energies are from GGA+U.

a = 12.084 Å, b = 5.944 Å, c = 8.848 Å
α = 77.43°, β = 90.00°, γ = 90.00°
Positions (direct):
O  0.238  0.432  0.879
S  0.862  0.717  0.081
O  0.573  0.701  0.988
H  0.852  0.653  0.534
O  0.762  0.568  0.121
O  0.834  0.963  0.081
H  0.806  0.022  0.643
O  0.051  0.369  0.800
H  0.391  0.082  0.725
O  0.666  0.963  0.581
O  0.114  0.824  0.671
Na  0.649  0.335  0.350
O  0.334  0.037  0.419
S  0.362  0.283  0.419
O  0.262  0.432  0.379
H  0.109  0.082  0.225
O  0.903  0.699  0.925
H  0.306  0.978  0.857
O  0.551  0.631  0.700
H  0.567  0.663  0.885
O  0.427  0.299  0.012
O  0.620  0.049  0.183
O  0.738  0.568  0.621
H  0.891  0.918  0.775
O  0.949  0.631  0.200
H  0.694  0.022  0.143
H  0.413  0.668  0.220
H  0.609  0.918  0.275
H  0.352  0.347  0.966
H  0.433  0.337  0.115
O  0.380  0.951  0.817
Na  0.149  0.665  0.150
O  0.927  0.701  0.488
Co  0.500  0.000  0.000
O  0.597  0.699  0.425
H  0.626  0.096  0.743
H  0.913  0.332  0.280
Co  0.000  0.000  0.500
O  0.403  0.301  0.575
H  0.194  0.978  0.357
O  0.886  0.176  0.329
H  0.933  0.663  0.385
H  0.148  0.347  0.466
Na  0.351  0.665  0.650
Na  0.851  0.335  0.850
H  0.374  0.904  0.257
O  0.880  0.049  0.683
H  0.587  0.332  0.780
O  0.120  0.951  0.317
S  0.638  0.717  0.581
H  0.067  0.337  0.615
O  0.386  0.824  0.171
H  0.648  0.653  0.034
O  0.449  0.369  0.300
H  0.087  0.668  0.720
O  0.166  0.037  0.919
O  0.097  0.301  0.075
S  0.138  0.283  0.919
O  0.073  0.299  0.512
O  0.614  0.176  0.829
H  0.126  0.904  0.757
H  0.874  0.096  0.243

=====

Entry 3:
Here is a relaxed Li4Mn3V2CrP6O24 crystal from the Materials Project database. Energies are from GGA+U.

a = 8.458 Å, b = 8.524 Å, c = 8.537 Å
α = 63.65°, β = 64.16°, γ = 64.18°
Positions (direct):
V  0.492  0.502  0.501
O  0.604  0.429  0.257
O  0.763  0.908  0.095
O  0.066  0.903  0.262
O  0.096  0.759  0.911
O  0.257  0.602  0.437
P  0.443  0.058  0.750
Li  0.865  0.645  0.265
O  0.394  0.580  0.742
P  0.244  0.558  0.940
Mn  0.348  0.348  0.345
O  0.812  0.608  0.009
Li  0.646  0.263  0.863
O  0.009  0.810  0.611
P  0.059  0.746  0.447
Cr  0.853  0.850  0.853
O  0.672  0.465  0.913
Li  0.265  0.858  0.652
Mn  0.151  0.153  0.151
O  0.916  0.664  0.473
O  0.450  0.249  0.593
O  0.893  0.250  0.083
P  0.929  0.242  0.554
O  0.465  0.914  0.674
O  0.170  0.409  0.977
O  0.734  0.397  0.582
Mn  0.656  0.658  0.661
O  0.608  0.004  0.818
P  0.747  0.444  0.058
O  0.406  0.002  0.183
V  0.009  0.003  0.999
O  0.565  0.086  0.311
O  0.254  0.081  0.897
O  0.579  0.743  0.397
O  0.941  0.176  0.410
O  0.912  0.095  0.754
Li  0.753  0.145  0.352
O  0.310  0.529  0.092
O  0.094  0.301  0.504
P  0.568  0.942  0.248

=====

Entry 4:
Here is a relaxed Na6NiS4O16 crystal from the Materials Project database. Energies are from GGA+U.

a = 8.367 Å, b = 9.282 Å, c = 9.934 Å
α = 90.00°, β = 113.96°, γ = 90.00°
Positions (direct):
O  0.679  0.755  0.711
O  0.335  0.407  0.802
O  0.821  0.255  0.289
S  0.725  0.195  0.140
O  0.499  0.584  0.353
O  0.835  0.093  0.802
S  0.225  0.305  0.140
O  0.423  0.896  0.865
O  0.655  0.316  0.030
O  0.683  0.103  0.539
O  0.183  0.397  0.539
O  0.077  0.396  0.135
O  0.001  0.084  0.647
Na  0.184  0.638  0.110
S  0.775  0.695  0.860
O  0.341  0.394  0.094
S  0.848  0.147  0.663
O  0.641  0.807  0.330
O  0.817  0.603  0.461
O  0.577  0.104  0.135
O  0.165  0.907  0.198
Na  0.590  0.349  0.446
O  0.159  0.894  0.906
Ni  0.500  0.500  0.000
O  0.155  0.184  0.030
Ni  0.000  0.000  0.000
Na  0.316  0.138  0.890
S  0.275  0.805  0.860
Na  0.684  0.862  0.110
Na  0.910  0.849  0.554
O  0.317  0.897  0.461
Na  0.967  0.485  0.311
O  0.999  0.916  0.353
S  0.652  0.647  0.337
O  0.345  0.684  0.970
O  0.923  0.604  0.865
Na  0.533  0.985  0.689
O  0.321  0.245  0.289
O  0.359  0.193  0.670
S  0.152  0.853  0.337
O  0.501  0.416  0.647
Na  0.816  0.362  0.890
Na  0.467  0.015  0.311
O  0.845  0.816  0.970
O  0.859  0.307  0.670
O  0.141  0.693  0.330
Na  0.090  0.151  0.446
Na  0.033  0.515  0.689
O  0.179  0.745  0.711
O  0.665  0.593  0.198
S  0.348  0.353  0.663
Na  0.410  0.651  0.554
O  0.841  0.106  0.094
O  0.659  0.606  0.906

=====

Computed E_form, in the same sequence as the records: -2.392, -1.545, -2.553, -2.108 eV/atom.